Entry 1:
Here is crystalline Mg4Si3 at its relaxed geometry from the Materials Project. Energies are from PBE-GGA.

Results
- Symmetry: P1, No. 1
- Total magnetization: 0.000 Bohr magnetons per cell
- Energy above the most stable polymorph in this dataset: 0.047 eV/atom
- Crystal system: triclinic
- Energy of formation from the pure elements: 0.05 eV per atom

Unit cell a=6.257 b=7.225 c=7.242 alpha=112.63 beta=110.78 gamma=91.28
Fractional positions:
Si 0.565 0.192 0.874
Si 0.786 0.112 0.634
Si 0.528 0.835 0.291
Si 0.129 0.858 0.116
Si 0.127 0.557 0.483
Si 0.409 0.520 0.302
Mg 0.169 0.451 0.850
Mg 0.443 0.835 0.891
Mg 0.156 0.963 0.524
Mg 0.742 0.260 0.317
Mg 0.834 0.747 0.680
Mg 0.802 0.593 0.111
Mg 0.493 0.382 0.610
Mg 0.066 0.196 0.067



Entry 2:
Here is crystalline Mg3Si4 at its relaxed geometry from the Materials Project. Energies are from PBE-GGA.

Results
- Symmetry: P1, No. 1
- Total magnetization: 0.000 Bohr magnetons per cell
- Energy above the most stable polymorph in this dataset: 0.060 eV/atom
- Crystal system: triclinic
- Energy of formation from the pure elements: 0.15 eV per atom

Unit cell a=5.341 b=6.427 c=8.315 alpha=99.27 beta=92.65 gamma=100.60
Fractional positions:
Si 0.880 0.036 0.086
Si 0.075 0.922 0.838
Si 0.177 0.193 0.316
Si 0.538 0.734 0.125
Si 0.694 0.886 0.663
Si 0.096 0.695 0.040
Si 0.418 0.140 0.733
Si 0.017 0.449 0.510
Mg 0.113 0.858 0.470
Mg 0.405 0.582 0.780
Mg 0.648 0.090 0.400
Mg 0.908 0.318 0.812
Mg 0.557 0.562 0.408
Mg 0.480 0.280 0.064



no.,energy (eV/atom)
1,-3.22
2,-3.67